# SbS, relaxed, DFT PBE
# Crystal system: triclinic
# Electronic total energy: -16.6 eV for the cell shown
data_SbS
_space_group_name_H-M_alt 'P -1'
_space_group_IT_number 2
_cell_length_a 3.8694
_cell_length_b 5.0079
_cell_length_c 10.3625
_cell_angle_alpha 83.91
_cell_angle_beta 87.94
_cell_angle_gamma 89.42
loop_
_space_group_symop_operation_xyz
'x,y,z'
'-x,-y,-z'
loop_
_atom_site_label
_atom_site_fract_x
_atom_site_fract_y
_atom_site_fract_z
_atom_site_occupancy
Sb1 0.2309 0.1924 0.0787 1
S1 0.2615 0.4245 0.8617 1


# BaSrInBiO6, relaxed, DFT PBE
# Crystal system: orthorhombic
# Relative energy among the computed polymorphs: 0.00 eV per formula unit
data_BaSrInBiO6
_space_group_name_H-M_alt 'P n n n'
_space_group_IT_number 48
_cell_length_a 8.4949
_cell_length_b 8.5036
_cell_length_c 8.5298
_cell_angle_alpha 90.00
_cell_angle_beta 90.00
_cell_angle_gamma 90.00
loop_
_space_group_symop_operation_xyz
'x,y,z'
'-x,-y,-z'
'-x+1/2,-y+1/2,z'
'x+1/2,y+1/2,-z'
'x,-y+1/2,-z+1/2'
'-x,y+1/2,z+1/2'
'-x+1/2,y,-z+1/2'
'x+1/2,-y,z+1/2'
loop_
_atom_site_label
_atom_site_fract_x
_atom_site_fract_y
_atom_site_fract_z
_atom_site_occupancy
Ba1 0.2500 0.2500 0.2500 1
Ba2 0.2500 0.7500 0.7500 1
Sr1 0.2500 0.2500 0.7500 1
Sr2 0.2500 0.7500 0.2500 1
In1 0.0000 0.0000 0.0000 1
Bi1 0.0000 0.0000 0.5000 1
O1 0.0277 0.2478 0.4731 1
O2 0.0374 0.0325 0.7473 1
O3 0.2476 0.5364 0.0351 1


# Sn4SF6, relaxed, DFT PBE
# Crystal system: trigonal
# Relative energy among the computed polymorphs: 0.00 eV per formula unit
data_Sn4SF6
_space_group_name_H-M_alt 'R 3'
_space_group_IT_number 146
_space_group_name_Hall 'R 3'
_cell_length_a 8.8552
_cell_length_b 8.8552
_cell_length_c 9.8903
_cell_angle_alpha 90.00
_cell_angle_beta 90.00
_cell_angle_gamma 120.00
loop_
_atom_site_label
_atom_site_fract_x
_atom_site_fract_y
_atom_site_fract_z
_atom_site_occupancy
Sn1 0.0000 0.0000 0.0000 1
Sn2 0.1676 0.8295 0.3277 1
S1 0.0000 0.0000 0.5703 1
F1 0.0172 0.2909 0.0839 1
F2 0.1613 0.7079 0.5275 1


# LiSmSn, relaxed, DFT PBE
# Crystal system: hexagonal
# Electronic total energy: -101.0 eV for the cell shown
data_LiSmSn
_space_group_name_H-M_alt 'P 63 m c'
_space_group_IT_number 186
_space_group_name_Hall 'P 6c -2c'
_cell_length_a 9.4768
_cell_length_b 9.4768
_cell_length_c 7.5576
_cell_angle_alpha 90.00
_cell_angle_beta 90.00
_cell_angle_gamma 120.00
loop_
_atom_site_label
_atom_site_fract_x
_atom_site_fract_y
_atom_site_fract_z
_atom_site_occupancy
Li1 0.1658 0.3316 0.0000 1
Li2 0.3333 0.6667 0.6290 1
Sm1 0.0000 0.0000 0.2858 1
Sm2 0.0264 0.5132 0.2931 1
Sn1 0.1671 0.3342 0.5590 1
Sn2 0.3333 0.6667 0.0204 1


# SmMg2Sc, relaxed, DFT PBE
# Crystal system: cubic
# Electronic total energy: -58.0 eV for the cell shown
data_SmMg2Sc
_space_group_name_H-M_alt 'F m -3 m'
_space_group_IT_number 225
_space_group_name_Hall '-F 4 2 3'
_cell_length_a 7.4480
_cell_length_b 7.4480
_cell_length_c 7.4480
_cell_angle_alpha 90.00
_cell_angle_beta 90.00
_cell_angle_gamma 90.00
loop_
_atom_site_label
_atom_site_fract_x
_atom_site_fract_y
_atom_site_fract_z
_atom_site_occupancy
Sm1 0.0000 0.0000 0.0000 1
Mg1 0.2500 0.2500 0.2500 1
Sc1 0.0000 0.0000 0.5000 1


# Tl2ZnC4N4, relaxed, DFT PBE
# Crystal system: cubic
# Electronic total energy: -4702.8 eV for the cell shown
data_Tl2ZnC4N4
_space_group_name_H-M_alt 'F -4 3 c'
_space_group_IT_number 219
_space_group_name_Hall 'F -4a 2 3'
_cell_length_a 25.1880
_cell_length_b 25.1880
_cell_length_c 25.1880
_cell_angle_alpha 90.00
_cell_angle_beta 90.00
_cell_angle_gamma 90.00
loop_
_atom_site_label
_atom_site_fract_x
_atom_site_fract_y
_atom_site_fract_z
_atom_site_occupancy
Tl1 0.0447 0.0824 0.3107 1
Tl2 0.1884 0.1884 0.3116 1
Zn1 0.0000 0.0000 0.0000 1
Zn2 0.0000 0.2500 0.2500 1
Zn3 0.1212 0.1212 0.1212 1
C1 0.0459 0.0459 0.4541 1
C2 0.0470 0.1909 0.7764 1
C3 0.0606 0.0894 0.1646 1
C4 0.1681 0.1681 0.1681 1
N1 0.0289 0.0677 0.1911 1
N2 0.0728 0.0728 0.4272 1
N3 0.0755 0.1573 0.7919 1
N4 0.1951 0.1951 0.1951 1